Below is an optimized crystal structure of Gd2CdSe4, with properties calculated at the GGA-PBE level.

Lattice parameters (Å, degrees): 8.705 8.705 9.079 90.00 90.00 90.00
Space group I-42d (No. 122)
Symmetry-distinct sites (fractional):
1 Gd 0.135 0.250 0.125 (multiplicity 8)
2 Cd 0.000 0.000 0.500 (multiplicity 4)
3 Se 0.068 0.192 0.814 (multiplicity 16)

## Properties
* spin magnetization: 14.000 μB per formula unit
* crystal system: tetragonal

Below is an optimized crystal structure of Na7Zn2SiSn2P5O24, with properties calculated at the GGA-PBE level.

Lattice parameters (Å, degrees): 9.047 9.050 22.102 89.79 89.60 60.01
Space group P1 (No. 1)
Symmetry-distinct sites (fractional):
1 Na 0.000 0.000 0.000 (multiplicity 1)
2 Na 0.002 0.658 0.498 (multiplicity 1)
3 Na 0.263 0.398 0.998 (multiplicity 1)
4 Na 0.265 0.012 0.497 (multiplicity 1)
5 Na 0.283 0.323 0.333 (multiplicity 1)
6 Na 0.283 0.691 0.579 (multiplicity 1)
7 Na 0.285 0.054 0.830 (multiplicity 1)
8 Na 0.297 0.677 0.079 (multiplicity 1)
9 Na 0.332 0.992 0.165 (multiplicity 1)
10 Na 0.335 0.339 0.661 (multiplicity 1)
11 Na 0.596 0.727 0.667 (multiplicity 1)
12 Na 0.607 0.394 0.499 (multiplicity 1)
13 Na 0.616 0.658 0.994 (multiplicity 1)
14 Na 0.625 0.023 0.244 (multiplicity 1)
15 Na 0.639 0.016 0.744 (multiplicity 1)
16 Na 0.665 0.331 0.833 (multiplicity 1)
17 Na 0.927 0.673 0.833 (multiplicity 1)
18 Na 0.934 0.059 0.330 (multiplicity 1)
19 Na 0.944 0.728 0.162 (multiplicity 1)
20 Na 0.950 0.366 0.411 (multiplicity 1)
21 Na 0.953 0.361 0.912 (multiplicity 1)
22 Zn 0.291 0.686 0.933 (multiplicity 1)
23 Zn 0.296 0.679 0.433 (multiplicity 1)
24 Zn 0.628 0.026 0.599 (multiplicity 1)
25 Zn 0.633 0.021 0.100 (multiplicity 1)
26 Zn 0.951 0.361 0.267 (multiplicity 1)
27 Zn 0.952 0.359 0.766 (multiplicity 1)
28 Si 0.327 0.318 0.504 (multiplicity 1)
29 Si 0.588 0.688 0.836 (multiplicity 1)
30 Si 0.926 0.720 0.004 (multiplicity 1)
31 Sn 0.290 0.691 0.734 (multiplicity 1)
32 Sn 0.298 0.681 0.235 (multiplicity 1)
33 Sn 0.623 0.016 0.401 (multiplicity 1)
34 Sn 0.627 0.015 0.902 (multiplicity 1)
35 Sn 0.955 0.356 0.069 (multiplicity 1)
36 Sn 0.961 0.351 0.569 (multiplicity 1)
37 P 0.252 0.055 0.670 (multiplicity 1)
38 P 0.256 0.354 0.170 (multiplicity 1)
39 P 0.296 0.388 0.836 (multiplicity 1)
40 P 0.297 0.979 0.336 (multiplicity 1)
41 P 0.328 0.024 0.005 (multiplicity 1)
42 P 0.591 0.387 0.337 (multiplicity 1)
43 P 0.628 0.311 0.003 (multiplicity 1)
44 P 0.628 0.724 0.505 (multiplicity 1)
45 P 0.660 0.649 0.169 (multiplicity 1)
46 P 0.661 0.354 0.670 (multiplicity 1)
47 P 0.919 0.022 0.501 (multiplicity 1)
48 P 0.961 0.652 0.670 (multiplicity 1)
49 P 0.962 0.056 0.172 (multiplicity 1)
50 P 0.993 0.689 0.336 (multiplicity 1)
51 P 0.995 0.982 0.837 (multiplicity 1)
52 O 0.074 0.726 0.277 (multiplicity 1)
53 O 0.074 0.859 0.781 (multiplicity 1)
54 O 0.099 0.904 0.894 (multiplicity 1)
55 O 0.101 0.665 0.392 (multiplicity 1)
56 O 0.102 0.872 0.495 (multiplicity 1)
57 O 0.117 0.695 0.997 (multiplicity 1)
58 O 0.133 0.657 0.672 (multiplicity 1)
59 O 0.133 0.873 0.172 (multiplicity 1)
60 O 0.135 0.331 0.505 (multiplicity 1)
61 O 0.139 0.160 0.331 (multiplicity 1)
62 O 0.140 0.391 0.112 (multiplicity 1)
63 O 0.144 0.359 0.829 (multiplicity 1)
64 O 0.145 0.189 0.008 (multiplicity 1)
65 O 0.147 0.135 0.610 (multiplicity 1)
66 O 0.165 0.165 0.725 (multiplicity 1)
67 O 0.171 0.329 0.227 (multiplicity 1)
68 O 0.262 0.526 0.173 (multiplicity 1)
69 O 0.263 0.499 0.892 (multiplicity 1)
70 O 0.271 0.872 0.671 (multiplicity 1)
71 O 0.273 0.893 0.392 (multiplicity 1)
72 O 0.301 0.509 0.497 (multiplicity 1)
73 O 0.307 0.867 0.998 (multiplicity 1)
74 O 0.322 0.873 0.276 (multiplicity 1)
75 O 0.329 0.469 0.777 (multiplicity 1)
76 O 0.402 0.065 0.945 (multiplicity 1)
77 O 0.408 0.193 0.442 (multiplicity 1)
78 O 0.431 0.195 0.163 (multiplicity 1)
79 O 0.433 0.032 0.665 (multiplicity 1)
80 O 0.437 0.000 0.060 (multiplicity 1)
81 O 0.443 0.234 0.562 (multiplicity 1)
82 O 0.461 0.998 0.337 (multiplicity 1)
83 O 0.466 0.729 0.775 (multiplicity 1)
84 O 0.467 0.211 0.839 (multiplicity 1)
85 O 0.469 0.470 0.281 (multiplicity 1)
86 O 0.470 0.706 0.496 (multiplicity 1)
87 O 0.476 0.493 0.998 (multiplicity 1)
88 O 0.477 0.669 0.173 (multiplicity 1)
89 O 0.479 0.524 0.671 (multiplicity 1)
90 O 0.502 0.656 0.896 (multiplicity 1)
91 O 0.512 0.487 0.395 (multiplicity 1)
92 O 0.595 0.225 0.055 (multiplicity 1)
93 O 0.598 0.868 0.838 (multiplicity 1)
94 O 0.602 0.829 0.562 (multiplicity 1)
95 O 0.604 0.205 0.338 (multiplicity 1)
96 O 0.634 0.201 0.665 (multiplicity 1)
97 O 0.635 0.830 0.164 (multiplicity 1)
98 O 0.663 0.203 0.942 (multiplicity 1)
99 O 0.674 0.800 0.448 (multiplicity 1)
100 O 0.732 0.545 0.108 (multiplicity 1)
101 O 0.741 0.389 0.611 (multiplicity 1)
102 O 0.763 0.338 0.727 (multiplicity 1)
103 O 0.772 0.357 0.329 (multiplicity 1)
104 O 0.778 0.559 0.221 (multiplicity 1)
105 O 0.779 0.523 0.831 (multiplicity 1)
106 O 0.792 0.540 0.507 (multiplicity 1)
107 O 0.800 0.318 0.007 (multiplicity 1)
108 O 0.801 0.826 0.662 (multiplicity 1)
109 O 0.803 0.800 0.943 (multiplicity 1)
110 O 0.809 0.028 0.167 (multiplicity 1)
111 O 0.809 0.057 0.442 (multiplicity 1)
112 O 0.811 0.003 0.839 (multiplicity 1)
113 O 0.816 0.860 0.339 (multiplicity 1)
114 O 0.836 0.985 0.555 (multiplicity 1)
115 O 0.842 0.836 0.063 (multiplicity 1)
116 O 0.925 0.193 0.507 (multiplicity 1)
117 O 0.937 0.567 0.726 (multiplicity 1)
118 O 0.938 0.529 0.006 (multiplicity 1)
119 O 0.948 0.158 0.228 (multiplicity 1)
120 O 0.978 0.159 0.828 (multiplicity 1)
121 O 0.979 0.529 0.329 (multiplicity 1)
122 O 0.996 0.135 0.112 (multiplicity 1)
123 O 0.997 0.535 0.611 (multiplicity 1)

## Properties
* spin magnetization: 0.001 μB per formula unit
* crystal system: triclinic

Below is an optimized crystal structure of PbSe, with properties calculated at the GGA-PBE level.

Lattice parameters (Å, degrees): 4.415 4.415 12.399 100.23 100.23 90.13
Space group P1 (No. 1)
Symmetry-distinct sites (fractional):
1 Pb 0.000 0.000 0.000 (multiplicity 1)
2 Pb 0.393 0.379 0.764 (multiplicity 1)
3 Se 0.500 0.501 0.004 (multiplicity 1)
4 Se 0.877 0.898 0.759 (multiplicity 1)

## Properties
* spin magnetization: 0.000 μB per formula unit
* crystal system: triclinic

Below is an optimized crystal structure of BaUTe4, with properties calculated at the GGA-PBE level.

Lattice parameters (Å, degrees): 16.492 6.308 10.603 90.00 129.96 90.00
Space group C2/m (No. 12)
Symmetry-distinct sites (fractional):
1 Ba 0.100 0.000 0.305 (multiplicity 4)
2 U 0.139 0.500 0.775 (multiplicity 4)
3 Te 0.100 0.000 0.659 (multiplicity 4)
4 Te 0.110 0.500 0.450 (multiplicity 4)
5 Te 0.144 0.249 0.043 (multiplicity 8)

## Properties
* crystal system: monoclinic

Below is an optimized crystal structure of Pr6Fe13Si, with properties calculated at the GGA-PBE level.

Lattice parameters (Å, degrees): 8.042 8.042 23.207 90.00 90.00 90.00
Space group I4/mcm (No. 140)
Symmetry-distinct sites (fractional):
1 Pr 0.000 0.000 0.109 (multiplicity 8)
2 Pr 0.167 0.333 0.189 (multiplicity 16)
3 Fe 0.000 0.500 0.000 (multiplicity 4)
4 Fe 0.066 0.209 0.500 (multiplicity 16)
5 Fe 0.113 0.387 0.406 (multiplicity 16)
6 Fe 0.179 0.321 0.059 (multiplicity 16)
7 Si 0.000 0.000 0.250 (multiplicity 4)

## Properties
* spin magnetization: 26.798 μB per formula unit
* crystal system: tetragonal

Below is an optimized crystal structure of Li5CuF8, with properties calculated at the GGA-PBE level.

Lattice parameters (Å, degrees): 5.8330 5.8330 14.8075 90.00 90.00 120.00
Space group R-3m (No. 166, hexagonal axes)
Symmetry-distinct sites (fractional):
1 Li 0.0000 0.0000 0.1419 (multiplicity 6)
2 Li 0.0000 0.5000 0.0000 (multiplicity 9)
3 Cu 0.0000 0.0000 0.5000 (multiplicity 3)
4 F 0.0000 0.0000 0.2670 (multiplicity 6)
5 F 0.0231 0.5115 0.2439 (multiplicity 18)

## Properties
* E above lowest polymorph: 0 meV per atom
* crystal system: trigonal

Energy relative to the elements for the records above, in order: -1696; -2486; -718; -1235; -49; -2766 meV/atom